Material: FePO4
Method: DFT, PBE with a Hubbard U
State: optimized geometry

a = 8.7317 Å, b = 8.7317 Å, c = 8.7317 Å
α = 108.14°, β = 108.14°, γ = 108.14°
Closest atoms and distances in Å follow each position.
Element x y z (fractional)
Fe 0.4704 0.2381 0.0563  4 O 1.88-1.91
Fe 0.2381 0.0563 0.4704  4 O 1.88-1.91
Fe 0.9524 0.5470 0.7622  4 O 1.88-1.89
Fe 0.5470 0.7622 0.9524  4 O 1.88-1.89
Fe 0.0563 0.4704 0.2381  4 O 1.88-1.91
Fe 0.7622 0.9524 0.5470  4 O 1.88-1.89
P 0.7149 0.1243 0.9086  4 O 1.55-1.56
P 0.4312 0.6119 0.2036  4 O 1.54-1.56
P 0.1243 0.9086 0.7149  4 O 1.55-1.56
P 0.2036 0.4312 0.6119  4 O 1.54-1.56
P 0.6119 0.2036 0.4312  4 O 1.54-1.56
P 0.9086 0.7149 0.1243  4 O 1.55-1.56
O 0.7168 0.0888 0.4225  1 P 1.55
O 0.0043 0.0052 0.6787  1 P 1.56
O 0.0074 0.9171 0.2642  1 P 1.55
O 0.4225 0.7168 0.0888  1 P 1.55
O 0.4165 0.0859 0.3894  1 P 1.54
O 0.6787 0.0043 0.0052  1 P 1.56
O 0.3672 0.6222 0.7088  1 P 1.56
O 0.6660 0.0030 0.7117  1 P 1.55
O 0.9171 0.2642 0.0074  1 P 1.55
O 0.9118 0.5955 0.2241  1 P 1.55
O 0.3894 0.4165 0.0859  1 P 1.54
O 0.7088 0.3672 0.6222  1 P 1.56
O 0.0052 0.6787 0.0043  1 P 1.56
O 0.2750 0.2898 0.6095  1 P 1.54
O 0.6222 0.7088 0.3672  1 P 1.56
O 0.7117 0.6660 0.0030  1 P 1.55
O 0.0888 0.4225 0.7168  1 P 1.55
O 0.5955 0.2241 0.9118  1 P 1.55
O 0.2241 0.9118 0.5955  1 P 1.55
O 0.2642 0.0074 0.9171  1 P 1.55
O 0.0859 0.3894 0.4165  1 P 1.54
O 0.0030 0.7117 0.6660  1 P 1.55
O 0.2898 0.6095 0.2750  1 P 1.54
O 0.6095 0.2750 0.2898  1 P 1.54



Material: Fe7P4O20
Method: DFT, PBE with a Hubbard U
State: optimized geometry

a = 7.3500 Å, b = 7.4179 Å, c = 7.5989 Å
α = 90.60°, β = 91.10°, γ = 117.94°
Closest atoms and distances in Å follow each position.
Element x y z (fractional)
Fe 0.7552 0.7476 0.7438  6 O 1.98-2.11
Fe 0.0000 0.5000 0.5000  6 O 2.03-2.05
Fe 0.7225 0.2309 0.2238  3 O 1.93-1.94
Fe 0.5000 0.5000 0.0000  6 O 1.96-2.10
Fe 0.2448 0.2524 0.2562  6 O 1.98-2.11
Fe 0.2775 0.7691 0.7762  3 O 1.93-1.94
Fe 0.0000 0.0000 0.5000  6 O 2.11-2.19
P 0.0004 0.7437 0.1270  4 O 1.53-1.56
P 0.4903 0.7574 0.3789  4 O 1.52-1.56
P 0.5097 0.2426 0.6211  4 O 1.52-1.56
P 0.9996 0.2563 0.8730  4 O 1.53-1.56
O 0.9995 0.7406 0.6351  4 Fe 2.01-2.21
O 0.9433 0.0595 0.7604  1 P 1.56
O 0.6936 0.3007 0.4995  1 P 1.54
O 0.9352 0.5619 0.2541  1 P 1.56
O 0.0005 0.2594 0.3649  4 Fe 2.01-2.21
O 0.8082 0.6961 0.0061  1 P 1.56
O 0.6807 0.7946 0.4979  1 P 1.56
O 0.5003 0.2837 0.1465  3 Fe 1.93-1.98
O 0.5426 0.9464 0.2724  1 P 1.52
O 0.8200 0.2229 0.9895  1 P 1.53
O 0.5682 0.4278 0.7502  1 P 1.56
O 0.4318 0.5722 0.2498  1 P 1.56
O 0.4574 0.0536 0.7276  1 P 1.52
O 0.1800 0.7771 0.0105  1 P 1.53
O 0.4997 0.7163 0.8535  3 Fe 1.93-1.98
O 0.3193 0.2054 0.5021  1 P 1.56
O 0.1918 0.3039 0.9939  1 P 1.56
O 0.0648 0.4381 0.7459  1 P 1.56
O 0.3064 0.6993 0.5005  1 P 1.54
O 0.0567 0.9405 0.2396  1 P 1.56

Output
energy above the most stable polymorph in this dataset: 0.000 eV/atom



MP2020-corrected energy list, top to bottom, in eV per cell: -285.09, -246.78